Record 1
Material: InNi22B6
Method: DFT, PBE
State: relaxed

## Properties
symmetry: No. 216
formation energy: -0.227 eV/atom
crystal system: cubic
excess energy over the best structure of this formula in the dataset: 0 meV/atom
size of the total moment: 0.39 μB/cell

a b c (Å): 7.399 7.399 7.399
angles (deg): 60.00 60.00 60.00
Sites, in units of the cell vectors:
1 Ni 0.002 0.661 0.002
2 Ni 0.000 0.000 0.000
3 Ni 0.250 0.250 0.250
4 Ni 0.335 0.002 0.002
5 Ni 0.611 0.611 0.611
6 Ni 0.335 0.002 0.661
7 Ni 0.002 0.335 0.661
8 Ni 0.611 0.611 0.168
9 Ni 0.661 0.002 0.002
10 Ni 0.168 0.611 0.611
11 Ni 0.002 0.002 0.661
12 Ni 0.379 0.379 0.379
13 Ni 0.002 0.002 0.335
14 Ni 0.379 0.862 0.379
15 Ni 0.611 0.168 0.611
16 Ni 0.335 0.661 0.002
17 Ni 0.002 0.335 0.002
18 Ni 0.379 0.379 0.862
19 Ni 0.661 0.335 0.002
20 Ni 0.862 0.379 0.379
21 Ni 0.002 0.661 0.335
22 Ni 0.661 0.002 0.335
23 B 0.273 0.727 0.727
24 B 0.727 0.273 0.727
25 B 0.273 0.727 0.273
26 B 0.727 0.273 0.273
27 B 0.273 0.273 0.727
28 B 0.727 0.727 0.273
29 In 0.750 0.750 0.750

***

Record 2
Material: InNi22B6
Method: DFT, PBE
State: relaxed

## Properties
symmetry: No. 225
formation energy: -0.172 eV/atom
crystal system: cubic
excess energy over the best structure of this formula in the dataset: 56 meV/atom
size of the total moment: 0.53 μB/cell

a b c (Å): 7.445 7.445 7.445
angles (deg): 60.00 60.00 60.00
Sites, in units of the cell vectors:
1 B 0.725 0.275 0.275
2 B 0.725 0.275 0.725
3 B 0.275 0.725 0.725
4 B 0.275 0.725 0.275
5 B 0.275 0.275 0.725
6 B 0.725 0.725 0.275
7 Ni 0.000 0.000 0.344
8 Ni 0.656 0.344 0.000
9 Ni 0.146 0.618 0.618
10 Ni 0.656 0.000 0.344
11 Ni 0.382 0.382 0.854
12 Ni 0.000 0.656 0.344
13 Ni 0.344 0.000 0.656
14 Ni 0.000 0.656 0.000
15 Ni 0.656 0.000 0.000
16 Ni 0.854 0.382 0.382
17 Ni 0.250 0.250 0.250
18 Ni 0.000 0.344 0.000
19 Ni 0.618 0.618 0.618
20 Ni 0.618 0.146 0.618
21 Ni 0.382 0.854 0.382
22 Ni 0.344 0.000 0.000
23 Ni 0.750 0.750 0.750
24 Ni 0.000 0.000 0.656
25 Ni 0.618 0.618 0.146
26 Ni 0.382 0.382 0.382
27 Ni 0.000 0.344 0.656
28 Ni 0.344 0.656 0.000
29 In 0.000 0.000 0.000

***

Record 3
Material: In2Ni7B
Method: DFT, PBE
State: relaxed

## Properties
symmetry: No. 123
formation energy: 0.291 eV/atom
crystal system: tetragonal
size of the total moment: 1.85 μB/cell

a b c (Å): 4.119 4.119 8.192
angles (deg): 90.00 90.00 90.00
Sites, in units of the cell vectors:
1 Ni 0.500 0.500 0.750
2 Ni 0.500 0.500 0.027
3 Ni 0.000 0.500 0.750
4 Ni 0.500 0.500 0.473
5 Ni 0.500 0.000 0.750
6 Ni 0.500 0.000 0.250
7 Ni 0.000 0.500 0.250
8 B 0.500 0.500 0.250
9 In 0.000 0.000 0.502
10 In 0.000 0.000 0.998

***

Record 4
Material: B3Ir2
Method: DFT, PBE
State: relaxed

## Properties
symmetry: No. 12
formation energy: -0.100 eV/atom
crystal system: monoclinic
size of the total moment: 0.00 μB/cell

a b c (Å): 3.117 5.477 6.250
angles (deg): 90.41 90.00 73.47
Sites, in units of the cell vectors:
1 Ir 0.103 0.794 0.852
2 Ir 0.360 0.280 0.700
3 Ir 0.897 0.206 0.148
4 Ir 0.640 0.720 0.300
5 B 0.174 0.651 0.528
6 B 0.441 0.118 0.386
7 B 0.559 0.882 0.614
8 B 0.826 0.349 0.472
9 B 0.259 0.482 0.076
10 B 0.741 0.518 0.924

***

Record 5
Material: LaB2Ir3
Method: DFT, PBE
State: relaxed

## Properties
symmetry: No. 191
formation energy: -0.650 eV/atom
crystal system: hexagonal

a b c (Å): 5.594 5.594 3.120
angles (deg): 90.00 90.00 120.00
Sites, in units of the cell vectors:
1 Ir 0.000 0.500 0.500
2 Ir 0.500 0.000 0.500
3 Ir 0.500 0.500 0.500
4 B 0.333 0.667 0.000
5 B 0.667 0.333 0.000
6 La 0.000 0.000 0.000

***

Record 6
Material: LaB4Ir4
Method: DFT, PBE
State: relaxed

## Properties
symmetry: No. 86
formation energy: -0.582 eV/atom
crystal system: tetragonal

a b c (Å): 7.747 7.747 3.991
angles (deg): 90.00 90.00 90.00
Sites, in units of the cell vectors:
1 Ir 0.841 0.610 0.393
2 Ir 0.610 0.159 0.607
3 Ir 0.390 0.841 0.607
4 Ir 0.110 0.659 0.893
5 Ir 0.890 0.341 0.893
6 Ir 0.159 0.390 0.393
7 Ir 0.341 0.110 0.107
8 Ir 0.659 0.890 0.107
9 B 0.220 0.659 0.393
10 B 0.280 0.841 0.107
11 B 0.341 0.220 0.607
12 B 0.159 0.280 0.893
13 B 0.659 0.780 0.607
14 B 0.841 0.720 0.893
15 B 0.780 0.341 0.393
16 B 0.720 0.159 0.107
17 La 0.500 0.500 0.000
18 La 0.000 0.000 0.500

***

Record 7
Material: LaB4Ir2Os2
Method: DFT, PBE
State: relaxed

## Properties
symmetry: No. 77
formation energy: -0.504 eV/atom
crystal system: tetragonal
size of the total moment: 0.02 μB/cell

a b c (Å): 4.015 7.687 7.687
angles (deg): 90.00 90.00 90.00
Sites, in units of the cell vectors:
1 Ir 0.140 0.098 0.860
2 Ir 0.640 0.360 0.902
3 Ir 0.640 0.140 0.598
4 Ir 0.140 0.402 0.640
5 Os 0.857 0.605 0.359
6 Os 0.857 0.895 0.141
7 Os 0.357 0.859 0.395
8 Os 0.357 0.641 0.105
9 B 0.860 0.965 0.411
10 B 0.360 0.589 0.465
11 B 0.643 0.086 0.970
12 B 0.860 0.535 0.089
13 B 0.360 0.911 0.035
14 B 0.143 0.470 0.914
15 B 0.143 0.030 0.586
16 B 0.643 0.414 0.530
17 La 0.751 0.750 0.750
18 La 0.251 0.250 0.250

***

Record 8
Material: LuB2Ir3
Method: DFT, PBE
State: relaxed

## Properties
symmetry: No. 191
formation energy: -0.689 eV/atom
crystal system: hexagonal

a b c (Å): 5.440 5.440 3.145
angles (deg): 90.00 90.00 120.00
Sites, in units of the cell vectors:
1 Ir 0.500 0.000 0.000
2 Ir 0.500 0.500 0.000
3 Ir 0.000 0.500 0.000
4 B 0.333 0.667 0.500
5 B 0.667 0.333 0.500
6 Lu 0.000 0.000 0.500

***

Record 9
Material: Mg4B3Ir2
Method: DFT, PBE
State: relaxed

## Properties
symmetry: No. 5
formation energy: -0.341 eV/atom
crystal system: monoclinic
size of the total moment: 0.02 μB/cell

a b c (Å): 4.931 4.931 6.890
angles (deg): 68.52 68.52 58.76
Sites, in units of the cell vectors:
1 Mg 0.300 0.312 0.843
2 Mg 0.688 0.700 0.157
3 Mg 0.294 0.307 0.357
4 Mg 0.693 0.706 0.643
5 B 0.311 0.689 0.000
6 B 0.660 0.340 0.000
7 B 0.926 0.074 0.500
8 Ir 0.968 0.009 0.218
9 Ir 0.991 0.032 0.782

***

Record 10
Material: MgBIr
Method: DFT, PBE
State: relaxed

## Properties
symmetry: No. 180
formation energy: -0.454 eV/atom
crystal system: hexagonal

a b c (Å): 5.308 5.308 9.488
angles (deg): 90.00 90.00 120.00
Sites, in units of the cell vectors:
1 Ir 0.000 0.500 0.955
2 Ir 0.500 0.000 0.288
3 Ir 0.500 0.500 0.622
4 Ir 0.000 0.500 0.378
5 Ir 0.500 0.500 0.045
6 Ir 0.500 0.000 0.712
7 Mg 0.000 0.000 0.833
8 Mg 0.500 0.500 0.333
9 Mg 0.000 0.000 0.500
10 Mg 0.000 0.000 0.167
11 Mg 0.000 0.500 0.667
12 Mg 0.500 0.000 0.000
13 B 0.602 0.398 0.833
14 B 0.398 0.795 0.500
15 B 0.398 0.602 0.833
16 B 0.205 0.602 0.167
17 B 0.602 0.205 0.500
18 B 0.795 0.398 0.167

***

Record 11
Material: Mg2MnB2Ir5
Method: DFT, PBE
State: relaxed

## Properties
symmetry: No. 127
formation energy: -0.443 eV/atom
crystal system: tetragonal
size of the total moment: 5.56 μB/cell

a b c (Å): 9.481 9.481 2.930
angles (deg): 90.00 90.00 90.00
Sites, in units of the cell vectors:
1 B 0.625 0.125 0.000
2 B 0.875 0.625 0.000
3 B 0.125 0.375 0.000
4 B 0.375 0.875 0.000
5 Mn 0.000 0.000 0.000
6 Mn 0.500 0.500 0.000
7 Mg 0.324 0.176 0.000
8 Mg 0.176 0.676 0.000
9 Mg 0.824 0.324 0.000
10 Mg 0.676 0.824 0.000
11 Ir 0.786 0.072 0.500
12 Ir 0.214 0.928 0.500
13 Ir 0.428 0.714 0.500
14 Ir 0.072 0.214 0.500
15 Ir 0.928 0.786 0.500
16 Ir 0.714 0.572 0.500
17 Ir 0.000 0.500 0.500
18 Ir 0.500 0.000 0.500
19 Ir 0.572 0.286 0.500
20 Ir 0.286 0.428 0.500

***

Record 12
Material: Mg2SiB2Ir5
Method: DFT, PBE
State: relaxed

## Properties
symmetry: No. 127
formation energy: -0.606 eV/atom
crystal system: tetragonal
size of the total moment: 0.00 μB/cell

a b c (Å): 9.419 9.419 2.915
angles (deg): 90.00 90.00 90.00
Sites, in units of the cell vectors:
1 Mg 0.675 0.825 0.000
2 Mg 0.825 0.325 0.000
3 Mg 0.175 0.675 0.000
4 Mg 0.325 0.175 0.000
5 B 0.374 0.874 0.000
6 B 0.874 0.626 0.000
7 B 0.626 0.126 0.000
8 B 0.126 0.374 0.000
9 Ir 0.000 0.500 0.500
10 Ir 0.209 0.928 0.500
11 Ir 0.709 0.572 0.500
12 Ir 0.791 0.072 0.500
13 Ir 0.428 0.709 0.500
14 Ir 0.572 0.291 0.500
15 Ir 0.928 0.791 0.500
16 Ir 0.072 0.209 0.500
17 Ir 0.500 0.000 0.500
18 Ir 0.291 0.428 0.500
19 Si 0.000 0.000 0.000
20 Si 0.500 0.500 0.000